CaSn2O4 | PBE-GGA | optimized geometry

Lattice parameters (Å, degrees): 6.593 7.017 16.779 85.85 89.72 62.65
Positions (direct):
Ca  0.000  0.000  0.000
Ca  0.003  0.012  0.625
Ca  0.334  0.332  0.665
Ca  0.638  0.697  0.337
Ca  0.650  0.689  0.963
Ca  0.980  0.055  0.257
Sn  0.159  0.682  0.456
Sn  0.161  0.177  0.453
Sn  0.292  0.396  0.925
Sn  0.304  0.370  0.295
Sn  0.320  0.855  0.797
Sn  0.476  0.538  0.134
Sn  0.497  0.006  0.122
Sn  0.639  0.690  0.594
Sn  0.664  0.152  0.467
Sn  0.817  0.856  0.794
Sn  0.841  0.318  0.788
Sn  0.975  0.541  0.131
O  0.023  0.469  0.371
O  0.024  0.015  0.386
O  0.121  0.282  0.213
O  0.135  0.729  0.732
O  0.154  0.149  0.723
O  0.160  0.661  0.205
O  0.266  0.463  0.060
O  0.311  0.302  0.532
O  0.317  0.881  0.529
O  0.351  0.831  0.061
O  0.409  0.550  0.361
O  0.411  0.069  0.355
O  0.427  0.600  0.886
O  0.518  0.960  0.861
O  0.592  0.284  0.222
O  0.609  0.768  0.724
O  0.652  0.688  0.195
O  0.698  0.150  0.723
O  0.782  0.891  0.565
O  0.790  0.404  0.070
O  0.813  0.829  0.058
O  0.871  0.276  0.521
O  0.960  0.605  0.885
O  0.996  0.005  0.862

Summary:
Space-group type ... P1, No. 1
ΔE_f ... -2.222 eV per atom
Total magnetic moment ... 0.00 μB per atom
E_tot ... -6.09 eV per atom